A plane-wave DFT calculation with PBE-GGA was carried out for a relaxed structure of Rb2LaI5.

Summary:
The value obtained for the volume is 45.999 Å³ per atom. As for the space-group type: Pnma (62). For the formation energy, the calculation gives -1786 meV per atom. The calculation puts the energy at -3.364 eV per atom.

CIF file:
```
data_Rb2LaI5
_chemical_formula_sum 'Rb8 La4 I20'
_cell_length_a 9.5587
_cell_length_b 10.1451
_cell_length_c 15.1790
_cell_angle_alpha 90.00
_cell_angle_beta 90.00
_cell_angle_gamma 90.00
_symmetry_space_group_name_H-M 'P 1'
_symmetry_Int_Tables_number 1
_symmetry_space_group_name_Hall 'P 1'
loop_
_atom_site_label
_atom_site_fract_x
_atom_site_fract_y
_atom_site_fract_z
I1 0.8353 0.0459 0.5746
I2 0.5814 0.7500 0.5104
I3 0.1647 0.5459 0.4254
La1 0.0767 0.2500 0.4946
I4 0.1229 0.7500 0.6759
I5 0.1647 0.9541 0.4254
Rb1 0.0586 0.5024 0.1744
La2 0.4233 0.2500 0.9946
I6 0.9186 0.7500 0.0104
I7 0.3771 0.7500 0.1759
Rb2 0.5586 0.4976 0.3256
Rb3 0.0586 0.9976 0.1744
I8 0.6647 0.4541 0.0746
I9 0.3353 0.5459 0.9254
I10 0.6647 0.0459 0.0746
I11 0.4186 0.2500 0.4896
I12 0.8353 0.4541 0.5746
La3 0.9233 0.7500 0.5054
Rb4 0.9414 0.4976 0.8256
I13 0.8771 0.2500 0.3241
Rb5 0.4414 0.9976 0.6744
Rb6 0.9414 0.0024 0.8256
I14 0.8425 0.7500 0.2990
La4 0.5767 0.7500 0.0054
I15 0.6229 0.2500 0.8241
I16 0.3425 0.2500 0.2010
Rb7 0.4414 0.5024 0.6744
I17 0.3353 0.9541 0.9254
I18 0.0814 0.2500 0.9896
I19 0.1575 0.2500 0.7010
Rb8 0.5586 0.0024 0.3256
I20 0.6575 0.7500 0.7990
```

=====

A plane-wave DFT calculation with PBE-GGA was carried out for a relaxed structure of TbN.

Summary:
The value obtained for the volume is 15.135 Å³ per atom. As for the space-group type: Fm-3m (225). For the formation energy, the calculation gives -1836 meV per atom. The calculation puts the energy at -8.141 eV per atom.

CIF file:
```
data_TbN
_chemical_formula_sum 'Tb1 N1'
_cell_length_a 3.4982
_cell_length_b 3.4982
_cell_length_c 3.4982
_cell_angle_alpha 60.00
_cell_angle_beta 60.00
_cell_angle_gamma 60.00
_symmetry_space_group_name_H-M 'P 1'
_symmetry_Int_Tables_number 1
_symmetry_space_group_name_Hall 'P 1'
loop_
_atom_site_label
_atom_site_fract_x
_atom_site_fract_y
_atom_site_fract_z
Tb1 0.5000 0.5000 0.5000
N1 0.0000 0.0000 0.0000
```

=====

A plane-wave DFT calculation with PBE-GGA was carried out for a relaxed structure of AcPr3.

Summary:
The value obtained for the volume is 38.655 Å³ per atom. As for the space-group type: P6_3/mmc (194). For the formation energy, the calculation gives 45 meV per atom. The calculation puts the energy at -4.571 eV per atom.

CIF file:
```
data_AcPr3
_chemical_formula_sum 'Ac2 Pr6'
_cell_length_a 7.5639
_cell_length_b 7.5639
_cell_length_c 6.2413
_cell_angle_alpha 90.00
_cell_angle_beta 90.00
_cell_angle_gamma 120.00
_symmetry_space_group_name_H-M 'P 1'
_symmetry_Int_Tables_number 1
_symmetry_space_group_name_Hall 'P 1'
loop_
_atom_site_label
_atom_site_fract_x
_atom_site_fract_y
_atom_site_fract_z
Pr1 0.1634 0.3268 0.2500
Pr2 0.8366 0.6732 0.7500
Ac1 0.6667 0.3333 0.2500
Pr3 0.3268 0.1634 0.7500
Pr4 0.6732 0.8366 0.2500
Pr5 0.8366 0.1634 0.7500
Ac2 0.3333 0.6667 0.7500
Pr6 0.1634 0.8366 0.2500
```

=====

A plane-wave DFT calculation with PBE-GGA was carried out for a relaxed structure of CuSe3Br.

Summary:
The value obtained for the volume is 27.394 Å³ per atom. As for the space-group type: Pmna (53). For the formation energy, the calculation gives -253 meV per atom. The calculation puts the energy at -3.391 eV per atom.

CIF file:
```
data_CuSe3Br
_chemical_formula_sum 'Cu4 Se12 Br4'
_cell_length_a 4.9880
_cell_length_b 7.5866
_cell_length_c 14.4783
_cell_angle_alpha 90.00
_cell_angle_beta 90.00
_cell_angle_gamma 90.00
_symmetry_space_group_name_H-M 'P 1'
_symmetry_Int_Tables_number 1
_symmetry_space_group_name_Hall 'P 1'
loop_
_atom_site_label
_atom_site_fract_x
_atom_site_fract_y
_atom_site_fract_z
Cu1 0.7917 0.7500 0.2500
Se1 0.9263 0.3450 0.8736
Se2 0.8173 0.7654 0.0000
Se3 0.1827 0.2654 0.5000
Cu2 0.7917 0.7500 0.7500
Cu3 0.2083 0.2500 0.7500
Se4 0.9263 0.1550 0.6264
Br1 0.5000 0.5000 0.3085
Br2 0.5000 0.0000 0.1915
Se5 0.9263 0.3450 0.1264
Se6 0.0737 0.6550 0.1264
Se7 0.0737 0.8450 0.6264
Se8 0.0737 0.6550 0.8736
Se9 0.8173 0.7346 0.5000
Br3 0.5000 0.0000 0.8085
Br4 0.5000 0.5000 0.6915
Cu4 0.2083 0.2500 0.2500
Se10 0.1827 0.2346 0.0000
Se11 0.9263 0.1550 0.3736
Se12 0.0737 0.8450 0.3736
```

=====

A plane-wave DFT calculation with PBE-GGA was carried out for a relaxed structure of Mg2Si2O5.

Summary:
The value obtained for the volume is 9.087 Å³ per atom. As for the space-group type: P4/mmm (123). For the formation energy, the calculation gives -2459 meV per atom. The calculation puts the energy at -6.387 eV per atom. The value obtained for the total magnetic moment is 0.00 μB per cell.

CIF file:
```
data_Mg2Si2O5
_chemical_formula_sum 'Mg2 Si2 O5'
_cell_length_a 3.6542
_cell_length_b 3.6542
_cell_length_c 6.1249
_cell_angle_alpha 90.00
_cell_angle_beta 90.00
_cell_angle_gamma 90.00
_symmetry_space_group_name_H-M 'P 1'
_symmetry_Int_Tables_number 1
_symmetry_space_group_name_Hall 'P 1'
loop_
_atom_site_label
_atom_site_fract_x
_atom_site_fract_y
_atom_site_fract_z
O1 0.0000 0.5000 0.7769
O2 0.5000 0.0000 0.2231
Mg1 0.0000 0.0000 0.5000
O3 0.5000 0.0000 0.7769
O4 0.5000 0.5000 0.5000
Mg2 0.0000 0.0000 0.0000
Si1 0.5000 0.5000 0.2100
Si2 0.5000 0.5000 0.7900
O5 0.0000 0.5000 0.2231
```

=====

A plane-wave DFT calculation with PBE-GGA was carried out for a relaxed structure of SmSiPd.

Summary:
The value obtained for the volume is 19.828 Å³ per atom. As for the space-group type: Pnma (62). For the formation energy, the calculation gives -919 meV per atom. The calculation puts the energy at -6.027 eV per atom. The value obtained for the total magnetic moment is 0.00 μB per cell.

CIF file:
```
data_SmSiPd
_chemical_formula_sum 'Sm4 Si4 Pd4'
_cell_length_a 4.3260
_cell_length_b 7.1677
_cell_length_c 7.6736
_cell_angle_alpha 90.00
_cell_angle_beta 90.00
_cell_angle_gamma 90.00
_symmetry_space_group_name_H-M 'P 1'
_symmetry_Int_Tables_number 1
_symmetry_space_group_name_Hall 'P 1'
loop_
_atom_site_label
_atom_site_fract_x
_atom_site_fract_y
_atom_site_fract_z
Pd1 0.2500 0.1665 0.9276
Si1 0.2500 0.7954 0.8986
Si2 0.2500 0.2954 0.6014
Pd2 0.7500 0.8335 0.0724
Pd3 0.7500 0.3335 0.4276
Sm1 0.7500 0.9971 0.6929
Si3 0.7500 0.2046 0.1014
Sm2 0.2500 0.5029 0.1929
Si4 0.7500 0.7046 0.3986
Sm3 0.7500 0.4971 0.8071
Pd4 0.2500 0.6665 0.5724
Sm4 0.2500 0.0029 0.3071
```

=====

A plane-wave DFT calculation with PBE-GGA was carried out for a relaxed structure of CdPb3Se4.

Summary:
The value obtained for the volume is 28.546 Å³ per atom. As for the space-group type: R-3m (166). For the formation energy, the calculation gives -770 meV per atom. The calculation puts the energy at -3.790 eV per atom. The value obtained for the total magnetic moment is 0.00 μB per cell.

CIF file:
```
data_CdPb3Se4
_chemical_formula_sum 'Cd1 Pb3 Se4'
_cell_length_a 14.1764
_cell_length_b 14.1764
_cell_length_c 14.1764
_cell_angle_alpha 17.64
_cell_angle_beta 17.64
_cell_angle_gamma 17.64
_symmetry_space_group_name_H-M 'P 1'
_symmetry_Int_Tables_number 1
_symmetry_space_group_name_Hall 'P 1'
loop_
_atom_site_label
_atom_site_fract_x
_atom_site_fract_y
_atom_site_fract_z
Pb1 0.5000 0.5000 0.5000
Se1 0.6299 0.6299 0.6299
Cd1 0.0000 0.0000 0.0000
Pb2 0.7461 0.7461 0.7461
Se2 0.1236 0.1236 0.1236
Pb3 0.2539 0.2539 0.2539
Se3 0.8764 0.8764 0.8764
Se4 0.3701 0.3701 0.3701
```

=====

A plane-wave DFT calculation with PBE-GGA was carried out for a relaxed structure of BaGe2B.

Summary:
The value obtained for the volume is 22.708 Å³ per atom. As for the space-group type: F-43m (216). For the formation energy, the calculation gives 738 meV per atom. The calculation puts the energy at -3.723 eV per atom. The value obtained for the total magnetic moment is 0.00 μB per cell.

CIF file:
```
data_BaGe2B
_chemical_formula_sum 'Ba1 Ge2 B1'
_cell_length_a 5.0457
_cell_length_b 5.0457
_cell_length_c 5.0457
_cell_angle_alpha 60.00
_cell_angle_beta 60.00
_cell_angle_gamma 60.00
_symmetry_space_group_name_H-M 'P 1'
_symmetry_Int_Tables_number 1
_symmetry_space_group_name_Hall 'P 1'
loop_
_atom_site_label
_atom_site_fract_x
_atom_site_fract_y
_atom_site_fract_z
Ba1 0.7500 0.7500 0.7500
Ge1 0.2500 0.2500 0.2500
Ge2 0.0000 0.0000 0.0000
B1 0.5000 0.5000 0.5000
```

=====

Repeat the sixth record exactly.
A plane-wave DFT calculation with PBE-GGA was carried out for a relaxed structure of SmSiPd.

Summary:
The value obtained for the volume is 19.828 Å³ per atom. As for the space-group type: Pnma (62). For the formation energy, the calculation gives -919 meV per atom. The calculation puts the energy at -6.027 eV per atom. The value obtained for the total magnetic moment is 0.00 μB per cell.

CIF file:
```
data_SmSiPd
_chemical_formula_sum 'Sm4 Si4 Pd4'
_cell_length_a 4.3260
_cell_length_b 7.1677
_cell_length_c 7.6736
_cell_angle_alpha 90.00
_cell_angle_beta 90.00
_cell_angle_gamma 90.00
_symmetry_space_group_name_H-M 'P 1'
_symmetry_Int_Tables_number 1
_symmetry_space_group_name_Hall 'P 1'
loop_
_atom_site_label
_atom_site_fract_x
_atom_site_fract_y
_atom_site_fract_z
Pd1 0.2500 0.1665 0.9276
Si1 0.2500 0.7954 0.8986
Si2 0.2500 0.2954 0.6014
Pd2 0.7500 0.8335 0.0724
Pd3 0.7500 0.3335 0.4276
Sm1 0.7500 0.9971 0.6929
Si3 0.7500 0.2046 0.1014
Sm2 0.2500 0.5029 0.1929
Si4 0.7500 0.7046 0.3986
Sm3 0.7500 0.4971 0.8071
Pd4 0.2500 0.6665 0.5724
Sm4 0.2500 0.0029 0.3071
```